No. 1
# Rb2Ga2B2O7 (PBE-GGA, relaxed)
data_Rb2Ga2B2O7
_cell_length_a 8.927
_cell_length_b 7.867
_cell_length_c 12.168
_cell_angle_alpha 90.00
_cell_angle_beta 104.46
_cell_angle_gamma 90.00
_space_group_name_H-M_alt 'P 1 21/c 1'
_space_group_IT_number 14
_space_group_name_Hall '-P 2ybc'
loop_
_atom_site_label
_atom_site_type_symbol
_atom_site_fract_x
_atom_site_fract_y
_atom_site_fract_z
Rb1 Rb 0.033 0.128 0.127
Rb2 Rb 0.447 0.625 0.849
Ga1 Ga 0.185 0.569 0.133
Ga2 Ga 0.346 0.122 0.886
B1 B 0.155 0.092 0.413
B2 B 0.315 0.629 0.561
O1 O 0.016 0.009 0.366
O2 O 0.191 0.701 0.594
O3 O 0.216 0.193 0.342
O4 O 0.239 0.068 0.523
O5 O 0.287 0.028 0.009
O6 O 0.324 0.534 0.271
O7 O 0.455 0.714 0.581
# V ... 828 Å³/cell
# ΔH_f (0 K) ... -2523 meV/atom

No. 2
# YZn5 (PBE-GGA, relaxed)
data_YZn5
_cell_length_a 5.3160
_cell_length_b 5.3160
_cell_length_c 4.2283
_cell_angle_alpha 90.00
_cell_angle_beta 90.00
_cell_angle_gamma 120.00
_space_group_name_H-M_alt 'P 6/m m m'
_space_group_IT_number 191
_space_group_name_Hall '-P 6 2'
loop_
_atom_site_label
_atom_site_type_symbol
_atom_site_fract_x
_atom_site_fract_y
_atom_site_fract_z
Y1 Y 0.0000 0.0000 0.0000
Zn1 Zn 0.0000 0.5000 0.5000
Zn2 Zn 0.3333 0.6667 0.0000
# V ... 103 Å³/cell
# ΔH_f (0 K) ... -296 meV/atom

Q: Which of these has the lowest ΔH_f (0 K)?
A: Rb2Ga2B2O7